Compound: MgMoWO6
Source: the Materials Project database
Functional: PBE with a Hubbard U
Structure: relaxed

- ΔH_f (0 K): -220.3 kJ/mol of atoms
- ρ: 5.9 g/cm³
- Magnetization: 2.00 μB per cell
- MP2020-corrected energy: -8.405 eV/atom

abc: 5.620 5.617 7.682
angles: 95.82 137.15 55.41
Sites, in units of the cell vectors:
1 Mg 0.002 0.542 0.709
2 Mo 0.000 0.960 0.501
3 W 0.001 0.954 0.004
4 O 0.737 0.079 0.118
5 O 0.181 0.840 0.854
6 O 0.401 0.436 0.675
7 O 0.422 0.016 0.276
8 O 0.647 0.816 0.763
9 O 0.616 0.463 0.379